# 1
NaMgTi2BiO6 | PBE | relaxed

Summary:
Crystal system: trigonal
Polymorph energy (0 for the lowest one) in eV/atom: 0.0000
ΔH_f (0 K) in eV/f.u.: -28.9

Cell and atoms, written as CIF:
```
data_NaMgTi2BiO6
_cell_length_a 6.7331
_cell_length_b 6.7331
_cell_length_c 6.7331
_cell_angle_alpha 48.07
_cell_angle_beta 48.07
_cell_angle_gamma 48.07
_space_group_name_H-M_alt 'P 1'
_space_group_IT_number 1
loop_
_space_group_symop_operation_xyz
'x,y,z'
loop_
_atom_site_label
_atom_site_fract_x
_atom_site_fract_y
_atom_site_fract_z
Na1 0.1797 0.1797 0.1797
Mg1 0.3430 0.3430 0.3430
Ti1 0.0120 0.0120 0.0120
Ti2 0.6044 0.6044 0.6044
Bi1 0.7605 0.7605 0.7605
O1 0.1464 0.3100 0.7565
O2 0.3100 0.7565 0.1464
O3 0.7565 0.1464 0.3100
O4 0.2701 0.9412 0.6112
O5 0.6112 0.2701 0.9412
O6 0.9412 0.6112 0.2701
```

***

# 2
RbHo2Cl7 | PBE | relaxed

Summary:
Crystal system: orthorhombic
ΔH_f (0 K) in eV/f.u.: -26.8

Cell and atoms, written as CIF:
```
data_RbHo2Cl7
_cell_length_a 6.9884
_cell_length_b 12.6562
_cell_length_c 13.4249
_cell_angle_alpha 90.00
_cell_angle_beta 90.00
_cell_angle_gamma 90.00
_space_group_name_H-M_alt 'P 1'
_space_group_IT_number 1
loop_
_space_group_symop_operation_xyz
'x,y,z'
loop_
_atom_site_label
_atom_site_fract_x
_atom_site_fract_y
_atom_site_fract_z
Rb1 0.2500 0.8043 0.0415
Rb2 0.7500 0.1957 0.9585
Rb3 0.7500 0.3043 0.4585
Rb4 0.2500 0.6957 0.5415
Ho1 0.2500 0.4602 0.2371
Ho2 0.7500 0.5398 0.7629
Ho3 0.7500 0.9602 0.2629
Ho4 0.2500 0.0398 0.7371
Ho5 0.2500 0.1573 0.2499
Ho6 0.7500 0.8427 0.7501
Ho7 0.7500 0.6573 0.2501
Ho8 0.2500 0.3427 0.7499
Cl1 0.0109 0.3068 0.1754
Cl2 0.9891 0.6932 0.8246
Cl3 0.9891 0.8068 0.3246
Cl4 0.5109 0.6932 0.8246
Cl5 0.0109 0.1932 0.6754
Cl6 0.4891 0.3068 0.1754
Cl7 0.4891 0.1932 0.6754
Cl8 0.5109 0.8068 0.3246
Cl9 0.0105 0.5776 0.1225
Cl10 0.9895 0.4224 0.8775
Cl11 0.9895 0.0776 0.3775
Cl12 0.5105 0.4224 0.8775
Cl13 0.0105 0.9224 0.6225
Cl14 0.4895 0.5776 0.1225
Cl15 0.4895 0.9224 0.6225
Cl16 0.5105 0.0776 0.3775
Cl17 0.0095 0.0397 0.1339
Cl18 0.9905 0.9603 0.8661
Cl19 0.9905 0.5397 0.3661
Cl20 0.5095 0.9603 0.8661
Cl21 0.0095 0.4603 0.6339
Cl22 0.4905 0.0397 0.1339
Cl23 0.4905 0.4603 0.6339
Cl24 0.5095 0.5397 0.3661
Cl25 0.2500 0.3118 0.3906
Cl26 0.7500 0.6882 0.6094
Cl27 0.7500 0.8118 0.1094
Cl28 0.2500 0.1882 0.8906
```

***

# 3
Y7Te2 | PBE | relaxed

Summary:
Crystal system: orthorhombic
ΔH_f (0 K) in eV/f.u.: -5.8

Cell and atoms, written as CIF:
```
data_Y7Te2
_cell_length_a 3.9665
_cell_length_b 12.1672
_cell_length_c 23.2154
_cell_angle_alpha 90.00
_cell_angle_beta 90.00
_cell_angle_gamma 90.00
_space_group_name_H-M_alt 'P 1'
_space_group_IT_number 1
loop_
_space_group_symop_operation_xyz
'x,y,z'
loop_
_atom_site_label
_atom_site_fract_x
_atom_site_fract_y
_atom_site_fract_z
Y1 0.2500 0.6502 0.4268
Y2 0.7500 0.9800 0.8297
Y3 0.7500 0.8735 0.0483
Y4 0.7500 0.2542 0.7235
Y5 0.2500 0.8498 0.9268
Y6 0.7500 0.5200 0.3297
Y7 0.7500 0.6377 0.8985
Y8 0.7500 0.2458 0.2235
Y9 0.7500 0.3498 0.5732
Y10 0.2500 0.7542 0.7765
Y11 0.2500 0.1265 0.9517
Y12 0.2500 0.6176 0.0245
Y13 0.7500 0.3824 0.9755
Y14 0.2500 0.3735 0.4517
Y15 0.7500 0.8623 0.3985
Y16 0.2500 0.0796 0.3457
Y17 0.7500 0.1176 0.4755
Y18 0.2500 0.3623 0.1015
Y19 0.7500 0.1502 0.0732
Y20 0.2500 0.7458 0.2765
Y21 0.7500 0.6265 0.5483
Y22 0.2500 0.0200 0.1703
Y23 0.7500 0.5796 0.1543
Y24 0.2500 0.4204 0.8457
Y25 0.7500 0.9204 0.6543
Y26 0.2500 0.8824 0.5245
Y27 0.2500 0.4800 0.6703
Y28 0.2500 0.1377 0.6015
Te1 0.2500 0.7287 0.6396
Te2 0.7500 0.2287 0.8604
Te3 0.7500 0.9505 0.2674
Te4 0.7500 0.2713 0.3604
Te5 0.2500 0.7713 0.1396
Te6 0.7500 0.5495 0.7674
Te7 0.2500 0.0495 0.7326
Te8 0.2500 0.4505 0.2326
```

***

# 4
Ni2P | PBE | relaxed

Summary:
Crystal system: hexagonal
ΔH_f (0 K) in eV/f.u.: -1.4

Cell and atoms, written as CIF:
```
data_Ni2P
_cell_length_a 3.3493
_cell_length_b 5.8728
_cell_length_c 5.8728
_cell_angle_alpha 120.00
_cell_angle_beta 90.00
_cell_angle_gamma 90.00
_space_group_name_H-M_alt 'P 1'
_space_group_IT_number 1
loop_
_space_group_symop_operation_xyz
'x,y,z'
loop_
_atom_site_label
_atom_site_fract_x
_atom_site_fract_y
_atom_site_fract_z
Ni1 0.5000 0.0000 0.6009
Ni2 0.5000 0.3991 0.3991
Ni3 0.5000 0.6009 0.0000
Ni4 0.0000 0.2597 0.0000
Ni5 0.0000 0.7403 0.7403
Ni6 0.0000 0.0000 0.2597
P1 0.5000 0.0000 0.0000
P2 0.0000 0.6667 0.3333
P3 0.0000 0.3333 0.6667
```

***

# 5
MgAl4H12O12 | PBE | relaxed

Summary:
Crystal system: triclinic
Polymorph energy (0 for the lowest one) in eV/atom: 0.0378
ΔH_f (0 K) in eV/f.u.: -56.8

Cell and atoms, written as CIF:
```
data_MgAl4H12O12
_cell_length_a 6.9710
_cell_length_b 7.7354
_cell_length_c 7.8466
_cell_angle_alpha 110.37
_cell_angle_beta 141.24
_cell_angle_gamma 86.33
_space_group_name_H-M_alt 'P 1'
_space_group_IT_number 1
loop_
_space_group_symop_operation_xyz
'x,y,z'
loop_
_atom_site_label
_atom_site_fract_x
_atom_site_fract_y
_atom_site_fract_z
Mg1 0.7899 0.1193 0.4199
Al1 0.3979 0.8152 0.2611
Al2 0.5459 0.1548 0.7098
Al3 0.9450 0.6707 0.5991
Al4 0.0422 0.3449 0.3472
H1 0.0106 0.0327 0.7818
H2 0.9337 0.9904 0.1882
H3 0.6387 0.4993 0.9229
H4 0.3402 0.4423 0.1229
H5 0.1556 0.7039 0.4464
H6 0.1714 0.4370 0.7897
H7 0.2542 0.1424 0.2260
H8 0.6262 0.8271 0.6915
H9 0.5433 0.7459 0.0421
H10 0.4042 0.2296 0.9423
H11 0.1620 0.2480 0.8698
H12 0.8127 0.5919 0.8037
O1 0.8714 0.9068 0.5890
O2 0.0659 0.0936 0.3917
O3 0.5085 0.4151 0.7122
O4 0.4884 0.5820 0.2509
O5 0.0029 0.6041 0.3827
O6 0.9898 0.4210 0.5778
O7 0.4474 0.0889 0.3711
O8 0.4391 0.8669 0.5437
O9 0.4072 0.8197 0.0108
O10 0.5866 0.2081 0.9923
O11 0.9944 0.2346 0.0654
O12 0.9488 0.7084 0.8725
```

***

# 6
ThSe3 | PBE | relaxed

Summary:
Crystal system: monoclinic
ΔH_f (0 K) in eV/f.u.: -6.9

Cell and atoms, written as CIF:
```
data_ThSe3
_cell_length_a 4.2624
_cell_length_b 5.8155
_cell_length_c 10.0214
_cell_angle_alpha 84.06
_cell_angle_beta 90.00
_cell_angle_gamma 90.00
_space_group_name_H-M_alt 'P 1'
_space_group_IT_number 1
loop_
_space_group_symop_operation_xyz
'x,y,z'
loop_
_atom_site_label
_atom_site_fract_x
_atom_site_fract_y
_atom_site_fract_z
Th1 0.2500 0.7236 0.6528
Th2 0.7500 0.2764 0.3472
Se1 0.2500 0.2393 0.5586
Se2 0.7500 0.7607 0.4414
Se3 0.2500 0.5191 0.1786
Se4 0.7500 0.4809 0.8214
Se5 0.2500 0.1098 0.1698
Se6 0.7500 0.8902 0.8302
```

***

What did the sixth record say?
ThSe3 | PBE | relaxed

Summary:
Crystal system: monoclinic
ΔH_f (0 K) in eV/f.u.: -6.9

Cell and atoms, written as CIF:
```
data_ThSe3
_cell_length_a 4.2624
_cell_length_b 5.8155
_cell_length_c 10.0214
_cell_angle_alpha 84.06
_cell_angle_beta 90.00
_cell_angle_gamma 90.00
_space_group_name_H-M_alt 'P 1'
_space_group_IT_number 1
loop_
_space_group_symop_operation_xyz
'x,y,z'
loop_
_atom_site_label
_atom_site_fract_x
_atom_site_fract_y
_atom_site_fract_z
Th1 0.2500 0.7236 0.6528
Th2 0.7500 0.2764 0.3472
Se1 0.2500 0.2393 0.5586
Se2 0.7500 0.7607 0.4414
Se3 0.2500 0.5191 0.1786
Se4 0.7500 0.4809 0.8214
Se5 0.2500 0.1098 0.1698
Se6 0.7500 0.8902 0.8302
```

***

Please write out number 3 again, unchanged.
Y7Te2 | PBE | relaxed

Summary:
Crystal system: orthorhombic
ΔH_f (0 K) in eV/f.u.: -5.8

Cell and atoms, written as CIF:
```
data_Y7Te2
_cell_length_a 3.9665
_cell_length_b 12.1672
_cell_length_c 23.2154
_cell_angle_alpha 90.00
_cell_angle_beta 90.00
_cell_angle_gamma 90.00
_space_group_name_H-M_alt 'P 1'
_space_group_IT_number 1
loop_
_space_group_symop_operation_xyz
'x,y,z'
loop_
_atom_site_label
_atom_site_fract_x
_atom_site_fract_y
_atom_site_fract_z
Y1 0.2500 0.6502 0.4268
Y2 0.7500 0.9800 0.8297
Y3 0.7500 0.8735 0.0483
Y4 0.7500 0.2542 0.7235
Y5 0.2500 0.8498 0.9268
Y6 0.7500 0.5200 0.3297
Y7 0.7500 0.6377 0.8985
Y8 0.7500 0.2458 0.2235
Y9 0.7500 0.3498 0.5732
Y10 0.2500 0.7542 0.7765
Y11 0.2500 0.1265 0.9517
Y12 0.2500 0.6176 0.0245
Y13 0.7500 0.3824 0.9755
Y14 0.2500 0.3735 0.4517
Y15 0.7500 0.8623 0.3985
Y16 0.2500 0.0796 0.3457
Y17 0.7500 0.1176 0.4755
Y18 0.2500 0.3623 0.1015
Y19 0.7500 0.1502 0.0732
Y20 0.2500 0.7458 0.2765
Y21 0.7500 0.6265 0.5483
Y22 0.2500 0.0200 0.1703
Y23 0.7500 0.5796 0.1543
Y24 0.2500 0.4204 0.8457
Y25 0.7500 0.9204 0.6543
Y26 0.2500 0.8824 0.5245
Y27 0.2500 0.4800 0.6703
Y28 0.2500 0.1377 0.6015
Te1 0.2500 0.7287 0.6396
Te2 0.7500 0.2287 0.8604
Te3 0.7500 0.9505 0.2674
Te4 0.7500 0.2713 0.3604
Te5 0.2500 0.7713 0.1396
Te6 0.7500 0.5495 0.7674
Te7 0.2500 0.0495 0.7326
Te8 0.2500 0.4505 0.2326
```

***

Look up the ΔH_f (0 K) of the second one. -26.8 eV/f.u.